Record 1
{
  "formula": "Na3NiPCO7",
  "functional": "PBE with a Hubbard U",
  "state": "relaxed",
  "vol_a3_per_cell": 621.2,
  "polymorph_energy_mev_per_atom": 21,
  "m_tot_mub_per_fu": 0.0,
  "formation_energy_mev_per_atom": -2206,
  "lattice": [[-1.925, -3.639, 7.391], [6.679, 2.093, 4.753], [-4.255, 7.333, 2.599]],
  "species": ["Na", "Na", "Na", "Na", "Na", "Na", "Na", "Na", "Na", "Na", "Na", "Na", "Ni", "Ni", "Ni", "Ni", "P", "P", "P", "P", "C", "C", "C", "C", "O", "O", "O", "O", "O", "O", "O", "O", "O", "O", "O", "O", "O", "O", "O", "O", "O", "O", "O", "O", "O", "O", "O", "O", "O", "O", "O", "O"],
  "frac_coords": [[0.244, 0.242, 0.001], [0.744, 0.742, 0.001], [0.992, 0.994, 0.999], [0.492, 0.494, 0.999], [0.334, 0.895, 0.162], [0.834, 0.395, 0.162], [0.645, 0.083, 0.838], [0.145, 0.584, 0.838], [0.494, 0.995, 0.498], [0.994, 0.495, 0.498], [0.746, 0.243, 0.502], [0.245, 0.744, 0.502], [0.892, 0.845, 0.287], [0.095, 0.142, 0.713], [0.392, 0.345, 0.287], [0.595, 0.642, 0.713], [0.609, 0.628, 0.347], [0.109, 0.128, 0.347], [0.378, 0.359, 0.653], [0.878, 0.859, 0.653], [0.618, 0.119, 0.164], [0.118, 0.619, 0.164], [0.369, 0.868, 0.836], [0.869, 0.368, 0.836], [0.530, 0.207, 0.062], [0.030, 0.707, 0.062], [0.457, 0.780, 0.938], [0.957, 0.280, 0.938], [0.735, 0.000, 0.122], [0.235, 0.500, 0.122], [0.250, 0.985, 0.878], [0.750, 0.485, 0.878], [0.062, 0.987, 0.253], [0.561, 0.487, 0.252], [0.737, 0.812, 0.747], [0.237, 0.312, 0.748], [0.253, 0.172, 0.254], [0.753, 0.672, 0.254], [0.922, 0.003, 0.746], [0.422, 0.503, 0.746], [0.588, 0.153, 0.305], [0.088, 0.653, 0.305], [0.403, 0.838, 0.695], [0.903, 0.338, 0.695], [0.466, 0.773, 0.359], [0.966, 0.273, 0.359], [0.523, 0.216, 0.641], [0.023, 0.716, 0.641], [0.171, 0.064, 0.504], [0.671, 0.564, 0.504], [0.814, 0.921, 0.496], [0.314, 0.421, 0.496]]
}

Record 2
{
  "formula": "Na5Ni2P2C2O14",
  "functional": "PBE with a Hubbard U",
  "state": "relaxed",
  "vol_a3_per_cell": 616.5,
  "polymorph_energy_mev_per_atom": 9,
  "m_tot_mub_per_fu": 3.0,
  "sg": "P1 (1)",
  "formation_energy_mev_per_atom": -2153,
  "lattice": [[5.251, 0.000, 0.000], [0.298, 8.877, 0.000], [0.006, 0.031, 13.226]],
  "species": ["Na", "Na", "Na", "Na", "Na", "Na", "Na", "Na", "Na", "Na", "Ni", "Ni", "Ni", "Ni", "P", "P", "P", "P", "C", "C", "C", "C", "O", "O", "O", "O", "O", "O", "O", "O", "O", "O", "O", "O", "O", "O", "O", "O", "O", "O", "O", "O", "O", "O", "O", "O", "O", "O", "O", "O"],
  "frac_coords": [[0.000, 0.000, 0.000], [0.001, 0.000, 0.763], [0.004, 0.009, 0.263], [0.005, 0.008, 0.502], [0.491, 0.463, 0.507], [0.492, 0.466, 0.752], [0.494, 0.462, 0.019], [0.519, 0.813, 0.378], [0.965, 0.645, 0.139], [0.971, 0.651, 0.632], [0.522, 0.078, 0.132], [0.525, 0.079, 0.632], [0.967, 0.392, 0.377], [0.970, 0.390, 0.883], [0.028, 0.316, 0.632], [0.030, 0.312, 0.132], [0.466, 0.156, 0.882], [0.468, 0.155, 0.381], [0.035, 0.674, 0.384], [0.036, 0.665, 0.882], [0.455, 0.801, 0.129], [0.458, 0.797, 0.632], [0.061, 0.806, 0.882], [0.063, 0.818, 0.382], [0.172, 0.194, 0.882], [0.174, 0.190, 0.382], [0.227, 0.567, 0.882], [0.229, 0.580, 0.386], [0.260, 0.897, 0.132], [0.262, 0.891, 0.633], [0.321, 0.269, 0.128], [0.322, 0.281, 0.632], [0.429, 0.660, 0.126], [0.431, 0.653, 0.631], [0.535, 0.051, 0.474], [0.535, 0.058, 0.976], [0.537, 0.053, 0.288], [0.538, 0.060, 0.789], [0.608, 0.307, 0.883], [0.616, 0.300, 0.383], [0.680, 0.861, 0.133], [0.683, 0.855, 0.631], [0.810, 0.617, 0.384], [0.814, 0.604, 0.882], [0.883, 0.164, 0.131], [0.887, 0.166, 0.633], [0.957, 0.416, 0.538], [0.957, 0.416, 0.725], [0.962, 0.415, 0.039], [0.973, 0.411, 0.225]]
}

Record 3
{
  "formula": "Na4Ni2PC4O16",
  "functional": "PBE with a Hubbard U",
  "state": "relaxed",
  "vol_a3_per_cell": 684.7,
  "m_tot_mub_per_fu": 1.0,
  "sg": "Fddd (70)",
  "formation_energy_mev_per_atom": -1835,
  "lattice": [[0.000, 6.922, 7.175], [6.893, 0.000, 7.175], [6.893, 6.922, 0.000]],
  "species": ["Na", "Na", "Na", "Na", "Na", "Na", "Na", "Na", "Ni", "Ni", "Ni", "Ni", "P", "P", "C", "C", "C", "C", "C", "C", "C", "C", "O", "O", "O", "O", "O", "O", "O", "O", "O", "O", "O", "O", "O", "O", "O", "O", "O", "O", "O", "O", "O", "O", "O", "O", "O", "O", "O", "O", "O", "O", "O", "O"],
  "frac_coords": [[0.087, 0.663, 0.663], [0.088, 0.662, 0.088], [0.337, 0.913, 0.913], [0.338, 0.912, 0.338], [0.662, 0.088, 0.662], [0.663, 0.087, 0.087], [0.912, 0.338, 0.912], [0.913, 0.337, 0.337], [0.000, 0.500, 0.500], [0.500, 0.000, 0.500], [0.500, 0.500, 0.000], [0.500, 0.500, 0.500], [0.125, 0.125, 0.125], [0.875, 0.875, 0.875], [0.278, 0.646, 0.289], [0.287, 0.289, 0.646], [0.289, 0.287, 0.278], [0.354, 0.722, 0.713], [0.646, 0.278, 0.287], [0.711, 0.713, 0.722], [0.713, 0.711, 0.354], [0.722, 0.354, 0.711], [0.057, 0.316, 0.063], [0.063, 0.064, 0.057], [0.064, 0.063, 0.316], [0.143, 0.314, 0.653], [0.143, 0.638, 0.408], [0.144, 0.403, 0.300], [0.300, 0.654, 0.144], [0.310, 0.408, 0.638], [0.314, 0.143, 0.390], [0.316, 0.057, 0.064], [0.346, 0.700, 0.597], [0.347, 0.610, 0.857], [0.362, 0.857, 0.690], [0.390, 0.653, 0.314], [0.403, 0.144, 0.654], [0.408, 0.310, 0.143], [0.592, 0.690, 0.857], [0.597, 0.856, 0.346], [0.610, 0.347, 0.686], [0.638, 0.143, 0.310], [0.653, 0.390, 0.143], [0.654, 0.300, 0.403], [0.684, 0.943, 0.936], [0.686, 0.857, 0.610], [0.690, 0.592, 0.362], [0.700, 0.346, 0.856], [0.856, 0.597, 0.700], [0.857, 0.362, 0.592], [0.857, 0.686, 0.347], [0.936, 0.937, 0.684], [0.937, 0.936, 0.943], [0.943, 0.684, 0.937]]
}

Record 4
{
  "formula": "Na5Ni2P2C2O14",
  "functional": "PBE with a Hubbard U",
  "state": "relaxed",
  "vol_a3_per_cell": 609.1,
  "polymorph_energy_mev_per_atom": 3,
  "m_tot_mub_per_fu": 3.0,
  "sg": "P2_1/m (11)",
  "formation_energy_mev_per_atom": -2158,
  "lattice": [[10.160, 0.000, 0.000], [0.000, 6.619, 0.000], [-5.057, 0.000, 9.058]],
  "species": ["Na", "Na", "Na", "Na", "Na", "Na", "Na", "Na", "Na", "Na", "Ni", "Ni", "Ni", "Ni", "P", "P", "P", "P", "C", "C", "C", "C", "O", "O", "O", "O", "O", "O", "O", "O", "O", "O", "O", "O", "O", "O", "O", "O", "O", "O", "O", "O", "O", "O", "O", "O", "O", "O", "O", "O"],
  "frac_coords": [[0.084, 0.250, 0.431], [0.253, 0.006, 0.243], [0.253, 0.494, 0.243], [0.270, 0.014, 0.768], [0.270, 0.486, 0.768], [0.730, 0.514, 0.232], [0.730, 0.986, 0.232], [0.747, 0.506, 0.757], [0.747, 0.994, 0.757], [0.916, 0.750, 0.569], [0.348, 0.750, 0.564], [0.349, 0.750, 0.063], [0.651, 0.250, 0.937], [0.652, 0.250, 0.436], [0.419, 0.250, 0.567], [0.420, 0.250, 0.069], [0.580, 0.750, 0.931], [0.581, 0.750, 0.433], [0.066, 0.750, 0.392], [0.070, 0.750, 0.890], [0.930, 0.250, 0.110], [0.934, 0.250, 0.608], [0.072, 0.250, 0.195], [0.077, 0.250, 0.686], [0.128, 0.750, 0.536], [0.133, 0.750, 0.033], [0.158, 0.750, 0.340], [0.162, 0.750, 0.837], [0.320, 0.064, 0.555], [0.320, 0.436, 0.555], [0.325, 0.062, 0.054], [0.325, 0.438, 0.054], [0.429, 0.750, 0.786], [0.430, 0.750, 0.287], [0.452, 0.250, 0.436], [0.455, 0.250, 0.936], [0.545, 0.750, 0.064], [0.548, 0.750, 0.564], [0.570, 0.250, 0.713], [0.571, 0.250, 0.214], [0.675, 0.562, 0.946], [0.675, 0.938, 0.946], [0.680, 0.564, 0.445], [0.680, 0.936, 0.445], [0.838, 0.250, 0.163], [0.842, 0.250, 0.660], [0.867, 0.250, 0.967], [0.872, 0.250, 0.464], [0.923, 0.750, 0.314], [0.928, 0.750, 0.805]]
}